Arrangement i

The following is a PBE calculation of a relaxed structure of Ba3YI9, from Materials Project.

Cell: 8.2619 14.3024 20.4160 Å, 90.00 90.00 90.00°
With the nearest neighbours (Å) after each atom.
Fractional coordinates of all 52 atoms:
Ba (0.7500, 0.0494, 0.9015)  8 I 3.53-3.92
Ba (0.7500, 0.1902, 0.4724)  5 I 3.38-3.62
Ba (0.2500, 0.2345, 0.6751)  5 I 3.48-3.60
Ba (0.7500, 0.2655, 0.1751)  5 I 3.48-3.60
Ba (0.2500, 0.3098, 0.9724)  5 I 3.38-3.62
Ba (0.2500, 0.4506, 0.4015)  8 I 3.53-3.92
Ba (0.7500, 0.5494, 0.5985)  8 I 3.53-3.92
Ba (0.7500, 0.6902, 0.0276)  5 I 3.38-3.62
Ba (0.2500, 0.7345, 0.8249)  5 I 3.48-3.60
Ba (0.7500, 0.7655, 0.3249)  5 I 3.48-3.60
Ba (0.2500, 0.8098, 0.5276)  5 I 3.38-3.62
Ba (0.2500, 0.9506, 0.0985)  8 I 3.53-3.92
Y (0.2500, 0.0211, 0.3245)  6 I 2.97-3.08
Y (0.7500, 0.4789, 0.8245)  6 I 2.97-3.08
Y (0.2500, 0.5211, 0.1755)  6 I 2.97-3.08
Y (0.7500, 0.9789, 0.6755)  6 I 2.97-3.08
I (0.4909, 0.0670, 0.5863)  1 Y 3.08
I (0.0091, 0.0670, 0.5863)  1 Y 3.08
I (0.5055, 0.0817, 0.2315)  1 Y 2.97
I (0.9945, 0.0817, 0.2315)  1 Y 2.97
I (0.7500, 0.1615, 0.7474)  1 Y 3.00
I (0.2500, 0.1689, 0.8393)  2 Ba 3.38-3.48
I (0.5026, 0.1372, 0.0383)  4 Ba 3.50-3.92
I (0.9974, 0.1372, 0.0383)  4 Ba 3.50-3.92
I (0.2500, 0.1863, 0.4159)  1 Y 3.01
I (0.7500, 0.3137, 0.9159)  1 Y 3.01
I (0.0026, 0.3628, 0.5383)  4 Ba 3.50-3.92
I (0.4974, 0.3628, 0.5383)  4 Ba 3.50-3.92
I (0.7500, 0.3311, 0.3393)  2 Ba 3.38-3.48
I (0.2500, 0.3385, 0.2474)  1 Y 3.00
I (0.4945, 0.4183, 0.7315)  1 Y 2.97
I (0.0055, 0.4183, 0.7315)  1 Y 2.97
I (0.9909, 0.4330, 0.0863)  1 Y 3.08
I (0.5091, 0.4330, 0.0863)  1 Y 3.08
I (0.4909, 0.5670, 0.9137)  1 Y 3.08
I (0.0091, 0.5670, 0.9137)  1 Y 3.08
I (0.9945, 0.5817, 0.2685)  1 Y 2.97
I (0.5055, 0.5817, 0.2685)  1 Y 2.97
I (0.7500, 0.6615, 0.7526)  1 Y 3.00
I (0.2500, 0.6689, 0.6607)  2 Ba 3.38-3.48
I (0.5026, 0.6372, 0.4617)  4 Ba 3.50-3.92
I (0.9974, 0.6372, 0.4617)  4 Ba 3.50-3.92
I (0.2500, 0.6863, 0.0841)  1 Y 3.01
I (0.7500, 0.8137, 0.5841)  1 Y 3.01
I (0.0026, 0.8628, 0.9617)  4 Ba 3.50-3.92
I (0.4974, 0.8628, 0.9617)  4 Ba 3.50-3.92
I (0.7500, 0.8311, 0.1607)  2 Ba 3.38-3.48
I (0.2500, 0.8385, 0.2526)  1 Y 3.00
I (0.4945, 0.9183, 0.7685)  1 Y 2.97
I (0.0055, 0.9183, 0.7685)  1 Y 2.97
I (0.9909, 0.9330, 0.4137)  1 Y 3.08
I (0.5091, 0.9330, 0.4137)  1 Y 3.08

Computed properties:
For the total moment, the calculation gives 0.0 μB/f.u. The calculation puts the calculated volume at 46.39 Å³/atom. As for the space group: Pnma.

***

Arrangement ii

The following is a PBE calculation of a relaxed structure of Ba3YI9, from Materials Project.

Cell: 7.9861 8.5964 33.6732 Å, 88.08 90.00 90.00°
With the nearest neighbours (Å) after each atom.
Fractional coordinates of all 52 atoms:
Ba (0.9704, 0.6810, 0.9332)  7 I 3.45-3.62
Ba (0.0023, 0.7075, 0.6917)  8 I 3.44-3.80
Ba (0.0296, 0.6810, 0.4332)  7 I 3.45-3.62
Ba (0.9977, 0.7075, 0.1917)  8 I 3.44-3.80
Ba (0.9856, 0.3172, 0.5706)  7 I 3.42-3.63
Ba (0.9818, 0.2853, 0.8083)  8 I 3.45-3.84
Ba (0.0144, 0.3172, 0.0706)  7 I 3.42-3.63
Ba (0.0182, 0.2853, 0.3083)  8 I 3.45-3.84
Ba (0.5290, 0.2161, 0.6920)  8 I 3.42-3.76
Ba (0.5185, 0.1779, 0.9304)  7 I 3.40-3.78
Ba (0.4710, 0.2161, 0.1920)  8 I 3.42-3.76
Ba (0.4815, 0.1779, 0.4304)  7 I 3.40-3.78
Y (0.5169, 0.8001, 0.8063)  8 I 3.06-3.43
Y (0.5450, 0.8256, 0.5662)  7 I 3.11-3.42
Y (0.4831, 0.8001, 0.3063)  8 I 3.06-3.43
Y (0.4550, 0.8256, 0.0662)  7 I 3.11-3.42
I (0.7947, 0.9751, 0.8675)  1 Y 3.41, 3 Ba 3.56-3.60
I (0.8121, 0.9793, 0.7537)  1 Y 3.30, 3 Ba 3.53-3.65
I (0.8071, 0.9873, 0.6261)  1 Y 3.25, 2 Ba 3.57-3.63
I (0.2053, 0.9751, 0.3675)  1 Y 3.41, 3 Ba 3.56-3.60
I (0.1879, 0.9793, 0.2537)  1 Y 3.30, 3 Ba 3.53-3.65
I (0.6981, 0.8877, 0.9953)  1 Y 3.11
I (0.1929, 0.9873, 0.1261)  1 Y 3.25, 2 Ba 3.57-3.63
I (0.3365, 0.8446, 0.8909)  1 Y 3.23, 2 Ba 3.51-3.52
I (0.3019, 0.8877, 0.4953)  1 Y 3.11
I (0.4009, 0.8401, 0.7086)  2 Ba 3.42-3.44, 1 Y 3.43, 2 I 3.80-3.83
I (0.6635, 0.8446, 0.3909)  1 Y 3.23, 2 Ba 3.51-3.52
I (0.5991, 0.8401, 0.2086)  2 Ba 3.42-3.44, 1 Y 3.43, 2 I 3.80-3.83
I (0.1731, 0.6487, 0.7965)  1 Y 3.06
I (0.2230, 0.6550, 0.5983)  1 Y 3.13
I (0.8269, 0.6487, 0.2965)  1 Y 3.06
I (0.7770, 0.6550, 0.0983)  1 Y 3.13
I (0.7354, 0.5951, 0.5129)  1 Y 3.11
I (0.6737, 0.5152, 0.8657)  1 Y 3.35, 2 Ba 3.61-3.74
I (0.6878, 0.5205, 0.7533)  1 Y 3.33, 3 Ba 3.57-3.62
I (0.6948, 0.5319, 0.6275)  1 Y 3.42, 3 Ba 3.56-3.67
I (0.2646, 0.5951, 0.0129)  1 Y 3.11
I (0.3263, 0.5152, 0.3657)  1 Y 3.35, 2 Ba 3.61-3.74
I (0.3122, 0.5205, 0.2533)  1 Y 3.33, 3 Ba 3.57-3.62
I (0.3052, 0.5319, 0.1275)  1 Y 3.42, 3 Ba 3.56-3.67
I (0.7633, 0.3976, 0.9903)  3 Ba 3.42-3.47
I (0.2367, 0.3976, 0.4903)  3 Ba 3.42-3.47
I (0.1491, 0.3423, 0.9011)  3 Ba 3.40-3.45
I (0.1074, 0.3191, 0.6984)  3 Ba 3.44-3.84
I (0.8509, 0.3423, 0.4011)  3 Ba 3.40-3.45
I (0.8926, 0.3191, 0.1984)  3 Ba 3.44-3.84
I (0.3952, 0.1397, 0.7980)  1 Y 3.08
I (0.3591, 0.1176, 0.5978)  1 Y 3.13
I (0.6048, 0.1397, 0.2980)  1 Y 3.08
I (0.6409, 0.1176, 0.0978)  1 Y 3.13
I (0.7520, 0.0618, 0.5111)  1 Y 3.17
I (0.2480, 0.0618, 0.0111)  1 Y 3.17

Computed properties:
For the total moment, the calculation gives 0.0 μB/f.u. The calculation puts the calculated volume at 44.43 Å³/atom. As for the space group: Pc.

***

Relative to the most stable structure, the computed energies are arrangement i 14; arrangement ii 0, all in meV/atom.

***

Arrangement i

The following is a PBE calculation of a relaxed structure of Br, from Materials Project.

Cell: 4.8287 4.8287 4.8287 Å, 145.37 145.37 49.79°
With the nearest neighbours (Å) after each atom.
Fractional coordinates of all 1 atoms:
Br (0.0000, 0.0000, 0.0000)  4 Br 2.87

Computed properties:
For the total moment, the calculation gives 0.0 μB/f.u. The calculation puts the calculated volume at 36.19 Å³/atom. As for the space group: I4/mmm.

***

Arrangement ii

The following is a PBE calculation of a relaxed structure of Br, from Materials Project.

Cell: 19.7455 17.4948 13.5330 Å, 77.89 60.03 42.08°
With the nearest neighbours (Å) after each atom.
Fractional coordinates of all 32 atoms:
Br (0.3277, 0.3064, 0.2631)  1 Br 2.32
Br (0.1028, 0.2631, 0.3064)  1 Br 2.32
Br (0.2631, 0.1028, 0.3277)  1 Br 2.32
Br (0.3064, 0.3277, 0.1028)  1 Br 2.32
Br (0.9223, 0.9436, 0.9869)  1 Br 2.32
Br (0.1472, 0.9869, 0.9436)  1 Br 2.32
Br (0.9869, 0.1472, 0.9223)  1 Br 2.32
Br (0.9436, 0.9223, 0.1472)  1 Br 2.32
Br (0.3376, 0.4388, 0.4129)  1 Br 2.30
Br (0.8107, 0.4129, 0.4388)  1 Br 2.30
Br (0.4129, 0.8107, 0.3376)  1 Br 2.30
Br (0.4388, 0.3376, 0.8107)  1 Br 2.30
Br (0.9124, 0.8112, 0.8371)  1 Br 2.30
Br (0.4393, 0.8371, 0.8112)  1 Br 2.30
Br (0.8371, 0.4393, 0.9124)  1 Br 2.30
Br (0.8112, 0.9124, 0.4393)  1 Br 2.30
Br (0.4984, 0.3964, 0.3421)  1 Br 2.30
Br (0.7632, 0.3421, 0.3964)  1 Br 2.30
Br (0.3421, 0.7632, 0.4984)  1 Br 2.30
Br (0.3964, 0.4984, 0.7632)  1 Br 2.30
Br (0.7516, 0.8536, 0.9079)  1 Br 2.30
Br (0.4868, 0.9079, 0.8536)  1 Br 2.30
Br (0.9079, 0.4868, 0.7516)  1 Br 2.30
Br (0.8536, 0.7516, 0.4868)  1 Br 2.30
Br (0.5059, 0.5220, 0.0747)  1 Br 2.31
Br (0.8974, 0.0747, 0.5220)  1 Br 2.31
Br (0.0747, 0.8974, 0.5059)  1 Br 2.31
Br (0.5220, 0.5059, 0.8974)  1 Br 2.31
Br (0.7441, 0.7280, 0.1753)  1 Br 2.31
Br (0.3526, 0.1753, 0.7280)  1 Br 2.31
Br (0.1753, 0.3526, 0.7441)  1 Br 2.31
Br (0.7280, 0.7441, 0.3526)  1 Br 2.31

Computed properties:
For the total moment, the calculation gives 0.0 μB/f.u. The calculation puts the calculated volume at 81.48 Å³/atom. As for the space group: Fddd.

***

Relative to the most stable structure, the computed energies are arrangement i 88; arrangement ii 0, all in meV/atom.

***

Arrangement i

The following is a PBE calculation of a relaxed structure of Ag, from Materials Project.

Cell: 2.9512 2.9512 9.5858 Å, 90.00 90.00 120.00°
With the nearest neighbours (Å) after each atom.
Fractional coordinates of all 4 atoms:
Ag (0.0000, 0.0000, 0.0000)  12 Ag 2.94-2.95
Ag (0.0000, 0.0000, 0.5000)  12 Ag 2.94-2.95
Ag (0.3333, 0.6667, 0.2500)  12 Ag 2.94-2.95
Ag (0.6667, 0.3333, 0.7500)  12 Ag 2.94-2.95

Computed properties:
The calculation puts the calculated volume at 18.08 Å³/atom. As for the space group: P6_3/mmc.

***

Arrangement ii

The following is a PBE calculation of a relaxed structure of Ag, from Materials Project.

Cell: 7.4027 7.4027 7.4027 Å, 22.96 22.96 22.96°
With the nearest neighbours (Å) after each atom.
Fractional coordinates of all 3 atoms:
Ag (0.0000, 0.0000, 0.0000)  12 Ag 2.94-2.95
Ag (0.7777, 0.7777, 0.7777)  12 Ag 2.94-2.95
Ag (0.2223, 0.2223, 0.2223)  12 Ag 2.94-2.95

Computed properties:
The calculation puts the calculated volume at 18.05 Å³/atom. As for the space group: R-3m.

***

Relative to the most stable structure, the computed energies are arrangement i 7; arrangement ii 0, all in meV/atom.

***

Arrangement i

The following is a PBE calculation of a relaxed structure of TiAl2O5, from Materials Project.

Cell: 5.0621 5.0621 9.7766 Å, 90.00 90.00 138.11°
With the nearest neighbours (Å) after each atom.
Fractional coordinates of all 16 atoms:
Ti (0.8173, 0.1827, 0.7500)  4 O 1.85-1.96
Ti (0.1827, 0.8173, 0.2500)  4 O 1.85-1.96
Al (0.8592, 0.1408, 0.4444)  5 O 1.85-2.01
Al (0.1408, 0.8592, 0.5556)  5 O 1.85-2.01
Al (0.8592, 0.1408, 0.0556)  5 O 1.85-2.01
Al (0.1408, 0.8592, 0.9444)  5 O 1.85-2.01
O (0.6881, 0.3119, 0.5665)  3 Al 1.87-2.01
O (0.3119, 0.6881, 0.4335)  3 Al 1.87-2.01
O (0.3119, 0.6881, 0.0665)  3 Al 1.87-2.01
O (0.6881, 0.3119, 0.9335)  3 Al 1.87-2.01
O (0.9560, 0.0440, 0.6170)  2 Al 1.85-1.92, 1 Ti 1.85
O (0.0440, 0.9560, 0.3830)  2 Al 1.85-1.92, 1 Ti 1.85
O (0.2366, 0.7634, 0.7500)  2 Ti 1.96, 2 Al 2.11
O (0.7634, 0.2366, 0.2500)  2 Ti 1.96, 2 Al 2.11
O (0.9560, 0.0440, 0.8830)  2 Al 1.85-1.92, 1 Ti 1.85
O (0.0440, 0.9560, 0.1170)  2 Al 1.85-1.92, 1 Ti 1.85

Computed properties:
The calculation puts the calculated volume at 10.46 Å³/atom. As for the space group: Cmcm.

***

Arrangement ii

The following is a PBE calculation of a relaxed structure of TiAl2O5, from Materials Project.

Cell: 3.6599 5.1057 9.6272 Å, 90.00 90.00 111.06°
With the nearest neighbours (Å) after each atom.
Fractional coordinates of all 16 atoms:
Ti (0.1289, 0.2548, 0.0621)  4 O 1.84-1.92
Ti (0.8711, 0.7452, 0.5621)  4 O 1.84-1.92
Al (0.1414, 0.2842, 0.4314)  5 O 1.84-1.97
Al (0.1880, 0.3794, 0.7546)  5 O 1.84-1.99
Al (0.8120, 0.6206, 0.2546)  5 O 1.84-1.99
Al (0.8586, 0.7158, 0.9314)  5 O 1.84-1.97
O (0.0561, 0.1168, 0.6124)  1 Ti 1.84, 2 Al 1.85-1.92
O (0.0441, 0.0881, 0.8805)  2 Al 1.84, 1 Ti 1.92
O (0.2472, 0.4923, 0.2545)  3 Al 1.93-1.97
O (0.3154, 0.6334, 0.5791)  2 Ti 1.91, 1 Al 2.08
O (0.3081, 0.6156, 0.9253)  3 Al 1.89-1.99
O (0.6846, 0.3666, 0.0791)  2 Ti 1.91, 1 Al 2.08
O (0.6919, 0.3844, 0.4253)  3 Al 1.89-1.99
O (0.7528, 0.5077, 0.7545)  3 Al 1.93-1.97
O (0.9439, 0.8832, 0.1124)  1 Ti 1.84, 2 Al 1.85-1.92
O (0.9559, 0.9119, 0.3805)  2 Al 1.84, 1 Ti 1.92

Computed properties:
For the total moment, the calculation gives 0.0 μB/f.u. The calculation puts the calculated volume at 10.49 Å³/atom. As for the space group: P2_1.

***

Relative to the most stable structure, the computed energies are arrangement i 0; arrangement ii 11, all in meV/atom.